[1]
DFT (PBE) results for ZrCdH10C6O17 after structural relaxation.

Properties
For the final energy, the calculation gives -227.70 eV per formula unit. The crystal system is monoclinic.

Lattice parameters (Å, degrees): 9.0415 17.1255 10.0889 90.00 105.83 90.00
Last column: nearest neighbours and their distance in Å.
Space group P2_1/c (No. 14)
Inequivalent atoms, fractional coordinates:
Zr: 0.1922 0.0954 0.3871 x4  8 O 2.20-2.25
Cd: 0.4438 0.6183 0.5213 x4  7 O 2.35-2.61
H: 0.0203 0.7065 0.8068 x4  1 O 0.98
H: 0.0731 0.2247 0.5087 x4  1 O 1.02
H: 0.0788 0.6035 0.6150 x4  1 O 0.99
H: 0.0811 0.1023 0.8462 x4  1 O 0.98
H: 0.1115 0.5643 0.8243 x4  1 O 1.02
H: 0.1137 0.5529 0.9844 x4  1 O 0.99
H: 0.1501 0.7331 0.9362 x4  1 O 0.99
H: 0.2357 0.2482 0.9852 x4  1 O 0.99
H: 0.3563 0.7259 0.1234 x4  1 O 0.98
H: 0.4239 0.7016 0.0030 x4  1 O 0.99
C: 0.0934 0.5919 0.3642 x4  2 O 1.26-1.28
C: 0.1581 0.6118 0.2417 x4  2 O 1.24-1.30
C: 0.3000 0.0959 0.7014 x4  2 O 1.25-1.28
C: 0.3526 0.1506 0.1763 x4  2 O 1.26-1.27
C: 0.3858 0.0618 0.1908 x4  2 O 1.25-1.28
C: 0.4442 0.1228 0.6590 x4  2 O 1.24-1.29
O: 0.0287 0.6152 0.6890 x4  2 H 0.98-0.99
O: 0.0395 0.7396 0.8895 x4  2 H 0.98-0.99
O: 0.0506 0.0779 0.1688 x4  1 C 1.28
O: 0.0582 0.6038 0.1230 x4  1 C 1.30
O: 0.1457 0.2171 0.4485 x4  2 H 0.99-1.02
O: 0.1529 0.5309 0.9098 x4  2 H 0.99-1.02
O: 0.1810 0.5899 0.4849 x4  1 C 1.26
O: 0.1857 0.0759 0.6007 x4  1 C 1.28
O: 0.2871 0.1788 0.2626 x4  1 C 1.27
O: 0.2937 0.6334 0.2624 x4  1 C 1.24
O: 0.3000 0.0968 0.8252 x4  1 C 1.25
O: 0.3411 0.0292 0.2869 x4  1 C 1.28
O: 0.3581 0.7411 0.0302 x4  2 H 0.98-0.99
O: 0.3873 0.1887 0.0823 x4  1 C 1.26
O: 0.4255 0.1245 0.5275 x4  1 C 1.29
O: 0.4375 0.6428 0.7517 x4  1 C 1.24
O: 0.4493 0.0285 0.1105 x4  1 C 1.25

[2]
DFT (PBE) results for CeSe2 after structural relaxation.

Properties
For the final energy, the calculation gives -17.60 eV per formula unit. The crystal system is orthorhombic.

Lattice parameters (Å, degrees): 6.8787 13.7185 7.2215 90.00 90.00 90.00
Last column: nearest neighbours and their distance in Å.
Space group Pbca (No. 61)
Inequivalent atoms, fractional coordinates:
Ce: 0.2410 0.1117 0.0475 x8  7 Se 2.88-2.99
Se: 0.0000 0.0277 0.7414 x8  4 Ce 2.95-2.99
Se: 0.1269 0.7107 0.3757 x8  3 Ce 2.88-2.93

[3]
DFT (PBE) results for YAuO2 after structural relaxation.

Properties
For the final energy, the calculation gives -28.56 eV per formula unit. The crystal system is hexagonal.

Lattice parameters (Å, degrees): 3.5947 3.5947 12.1938 90.00 90.00 120.00
Last column: nearest neighbours and their distance in Å.
Space group P6_3/mmc (No. 194)
Inequivalent atoms, fractional coordinates:
Y: 0.0000 0.0000 0.0000 x2  6 O 2.30
Au: 0.3333 0.6667 0.2500 x2  2 O 2.05
O: 0.3333 0.6667 0.0821 x4  1 Au 2.05

[4]
DFT (PBE) results for LiLaMg14 after structural relaxation.

Properties
For the final energy, the calculation gives -28.91 eV per formula unit. The crystal system is orthorhombic.

Lattice parameters (Å, degrees): 10.3942 6.5179 11.4855 90.00 90.00 90.00
Last column: nearest neighbours and their distance in Å.
Space group Amm2 (No. 38)
Inequivalent atoms, fractional coordinates:
Li: 0.0000 0.0000 0.0000 x2  10 Mg 3.17-3.43, 2 La 3.26
La: 0.0000 0.0000 0.5078 x2  2 Li 3.26, 10 Mg 3.29-3.31
Mg: 0.0000 0.2406 0.7603 x4  8 Mg 3.14-3.38, 2 Li 3.17-3.43, 2 La 3.30-3.31
Mg: 0.2439 0.0000 0.1700 x4  1 Li 3.20, 11 Mg 3.22-3.32
Mg: 0.2583 0.0000 0.6740 x4  11 Mg 3.14-3.36, 1 La 3.29
Mg: 0.2577 0.2452 0.9199 x8  10 Mg 3.14-3.36, 1 Li 3.25, 1 La 3.31
Mg: 0.5000 0.0000 0.0059 x2  12 Mg 3.14-3.31
Mg: 0.5000 0.0000 0.5057 x2  12 Mg 3.17-3.31
Mg: 0.5000 0.2494 0.2551 x4  12 Mg 3.14-3.31

[5]
DFT (PBE) results for Na2Ta5Ga3Si6S6O48 after structural relaxation.

Properties
For the final energy, the calculation gives -515.66 eV per formula unit. The crystal system is triclinic.

Lattice parameters (Å, degrees): 8.7602 15.2296 22.6267 89.95 89.77 89.63
Last column: nearest neighbours and their distance in Å.
Space group P1 (No. 1)
Inequivalent atoms, fractional coordinates:
Na: 0.0000 0.0000 0.0000 x1  3 O 2.27-2.45
Na: 0.0021 0.0062 0.4941 x1  3 O 2.36-2.50
Na: 0.4791 0.5030 0.4950 x1  2 O 2.30-2.40
Na: 0.4818 0.8433 0.1516 x1  4 O 2.41-2.58
Na: 0.4931 0.5125 0.9931 x1  3 O 2.38-2.54
Na: 0.9909 0.3354 0.6521 x1  4 O 2.37-2.55
Ta: 0.0013 0.6694 0.4624 x1  6 O 1.91-2.10
Ta: 0.0020 0.6692 0.1756 x1  6 O 1.89-2.11
Ta: 0.0109 0.6736 0.9618 x1  5 O 1.88-1.98
Ta: 0.4782 0.1728 0.4666 x1  3 O 1.86-1.88
Ta: 0.4855 0.1638 0.1784 x1  5 O 1.87-2.09
Ta: 0.4909 0.1713 0.6791 x1  6 O 1.92-2.11
Ta: 0.4938 0.8317 0.5182 x1  4 O 1.87-1.93
Ta: 0.4997 0.4967 0.8448 x1  4 O 1.88-2.03
Ta: 0.5018 0.5100 0.3449 x1  5 O 1.88-2.06
Ta: 0.5070 0.8374 0.8002 x1  5 O 1.85-2.07
Ta: 0.9829 0.0039 0.8435 x1  3 O 1.84-2.02
Ta: 0.9953 0.6725 0.6747 x1  3 O 1.85-2.02
Ta: 0.9959 0.0095 0.3380 x1  3 O 1.85-1.91
Ta: 0.9968 0.3375 0.2946 x1  6 O 1.92-2.13
Ta: 0.9966 0.3426 0.0159 x1  4 O 1.86-2.00
Ga: 0.0329 0.0072 0.1323 x1  4 O 1.85-1.92
Ga: 0.0362 0.3299 0.5053 x1  3 O 1.82-1.85
Ga: 0.4881 0.8278 0.0070 x1  3 O 1.85-1.89
Ga: 0.4903 0.4919 0.6292 x1  3 O 1.83-1.89
Ga: 0.4925 0.1648 0.9707 x1  2 O 1.79-1.94
Ga: 0.4969 0.5057 0.1341 x1  2 O 1.81-1.86
Ga: 0.5061 0.8408 0.3019 x1  2 O 1.81-1.83
Ga: 0.9730 0.3445 0.7994 x1  2 O 1.80-1.84
Ga: 0.9877 0.9997 0.6276 x1  3 O 1.83-1.88
Si: 0.1311 0.1936 0.4044 x1  4 O 1.60-1.66
Si: 0.1368 0.4758 0.4044 x1  4 O 1.60-1.65
Si: 0.1443 0.8200 0.0705 x1  4 O 1.61-1.69
Si: 0.1566 0.5306 0.0716 x1  4 O 1.61-1.67
Si: 0.2112 0.1660 0.0667 x1  4 O 1.59-1.66
Si: 0.2869 0.6613 0.5718 x1  4 O 1.59-1.67
Si: 0.2899 0.9916 0.2370 x1  4 O 1.58-1.67
Si: 0.3411 0.0294 0.5739 x1  4 O 1.60-1.67
Si: 0.3452 0.3169 0.5725 x1  4 O 1.61-1.67
Si: 0.3594 0.6949 0.9037 x1  4 O 1.59-1.65
Si: 0.6375 0.7019 0.4023 x1  4 O 1.59-1.68
Si: 0.6471 0.3638 0.7319 x1  4 O 1.61-1.67
Si: 0.7128 0.0029 0.7316 x1  4 O 1.59-1.69
Si: 0.7733 0.8391 0.9121 x1  4 O 1.59-1.70
Si: 0.7759 0.5046 0.2320 x1  4 O 1.60-1.66
Si: 0.8571 0.1449 0.2301 x1  4 O 1.57-1.69
Si: 0.8587 0.4781 0.9040 x1  4 O 1.60-1.68
Si: 0.8595 0.8176 0.5697 x1  4 O 1.59-1.68
S: 0.1336 0.1506 0.7385 x1  4 O 1.46-1.51
S: 0.1401 0.8605 0.7367 x1  4 O 1.45-1.51
S: 0.2056 0.5008 0.7368 x1  4 O 1.47-1.51
S: 0.2087 0.8383 0.4033 x1  4 O 1.45-1.50
S: 0.2803 0.3310 0.9029 x1  4 O 1.46-1.54
S: 0.3539 0.6490 0.2369 x1  4 O 1.46-1.51
S: 0.3548 0.3619 0.2355 x1  4 O 1.46-1.49
S: 0.3547 0.9851 0.9038 x1  4 O 1.46-1.52
S: 0.6346 0.3135 0.0687 x1  4 O 1.46-1.52
S: 0.6368 0.6452 0.7368 x1  4 O 1.44-1.50
S: 0.6393 0.0262 0.0691 x1  4 O 1.45-1.53
S: 0.6408 0.9804 0.4052 x1  4 O 1.47-1.50
S: 0.7080 0.6715 0.0714 x1  4 O 1.47-1.51
S: 0.7126 0.3366 0.4056 x1  4 O 1.45-1.53
S: 0.7821 0.1748 0.5700 x1  4 O 1.47-1.50
S: 0.8444 0.1945 0.9056 x1  4 O 1.47-1.55
S: 0.8496 0.8608 0.2357 x1  4 O 1.44-1.52
S: 0.8519 0.5260 0.5703 x1  4 O 1.45-1.54
O: 0.0510 0.2279 0.4638 x1  1 Si 1.60
O: 0.0517 0.9111 0.0778 x1  1 Si 1.61
O: 0.0624 0.4320 0.3458 x1  1 Si 1.62
O: 0.0631 0.0929 0.3953 x1  1 Si 1.66
O: 0.0662 0.7714 0.7317 x1  1 S 1.51
O: 0.0666 0.1123 0.6855 x1  1 S 1.46
O: 0.0666 0.5749 0.4126 x1  1 Si 1.64
O: 0.0708 0.9027 0.7906 x1  1 S 1.50
O: 0.0725 0.2398 0.7487 x1  1 S 1.47
O: 0.0716 0.7678 0.0134 x1  1 Si 1.65
O: 0.0730 0.4340 0.0613 x1  1 Si 1.67, 1 Ta 1.86
O: 0.0748 0.5731 0.1304 x1  1 Si 1.64
O: 0.0993 0.0846 0.0733 x1  1 Si 1.59
O: 0.0995 0.9138 0.3977 x1  1 S 1.50
O: 0.1004 0.2537 0.3468 x1  1 Si 1.61
O: 0.1002 0.5794 0.7304 x1  1 S 1.51
O: 0.1055 0.7542 0.1285 x1  1 Si 1.69
O: 0.1069 0.0934 0.7919 x1  1 S 1.51
O: 0.1066 0.2556 0.0565 x1  1 Si 1.66
O: 0.1134 0.4206 0.7434 x1  1 S 1.48
O: 0.1141 0.7577 0.4113 x1  1 S 1.50
O: 0.1176 0.4211 0.4643 x1  1 Si 1.60
O: 0.1188 0.5894 0.0141 x1  1 Si 1.61
O: 0.1189 0.9123 0.6836 x1  1 S 1.45
O: 0.1593 0.0243 0.5813 x1  1 Si 1.60
O: 0.1605 0.3218 0.5708 x1  1 Si 1.62
O: 0.1735 0.6773 0.6304 x1  1 Si 1.67, 1 Ta 1.85
O: 0.1751 0.6853 0.9086 x1  1 Si 1.63
O: 0.1773 0.0114 0.2950 x1  1 Si 1.67, 1 Ta 1.86
O: 0.1789 0.6497 0.5141 x1  1 Si 1.63
O: 0.1833 0.3486 0.9559 x1  1 S 1.49
O: 0.1835 0.6558 0.2327 x1  1 S 1.50
O: 0.1855 0.9979 0.8914 x1  1 S 1.52
O: 0.1873 0.3488 0.2432 x1  1 S 1.49
O: 0.1898 0.3179 0.8494 x1  1 S 1.46
O: 0.1951 0.9726 0.1791 x1  1 Si 1.58
O: 0.2984 0.4916 0.6831 x1  1 S 1.47
O: 0.2989 0.8258 0.3499 x1  1 S 1.45
O: 0.2998 0.5180 0.7901 x1  1 S 1.49
O: 0.2996 0.8551 0.4569 x1  1 S 1.48
O: 0.3042 0.1553 0.7335 x1  1 S 1.50
O: 0.3046 0.8476 0.7471 x1  1 S 1.47
O: 0.3135 0.1524 0.0079 x1  1 Si 1.61, 1 Ga 1.79
O: 0.3184 0.1822 0.4117 x1  1 Si 1.66
O: 0.3179 0.1844 0.1256 x1  1 Si 1.66
O: 0.3213 0.4882 0.3914 x1  1 Si 1.65
O: 0.3301 0.8279 0.0638 x1  1 Si 1.64
O: 0.3383 0.5156 0.0799 x1  1 Si 1.62
O: 0.3646 0.9306 0.9566 x1  1 S 1.46
O: 0.3730 0.4165 0.8970 x1  1 S 1.54
O: 0.3737 0.4147 0.1822 x1  1 S 1.46
O: 0.3776 0.7544 0.5639 x1  1 Si 1.64
O: 0.3790 0.5927 0.2908 x1  1 S 1.51
O: 0.3813 0.0902 0.5145 x1  1 Si 1.67, 1 Ta 1.87
O: 0.3867 0.2533 0.6282 x1  1 Si 1.63
O: 0.3895 0.2594 0.9121 x1  1 S 1.46
O: 0.3894 0.7558 0.8450 x1  1 Si 1.64
O: 0.3903 0.0836 0.2286 x1  1 Si 1.67, 1 Ta 1.87
O: 0.4022 0.5817 0.5823 x1  1 Si 1.59
O: 0.4045 0.9103 0.2490 x1  1 Si 1.61
O: 0.4165 0.2681 0.5122 x1  1 Si 1.67, 1 Ta 1.86
O: 0.4170 0.6077 0.1837 x1  1 S 1.46
O: 0.4177 0.9347 0.5565 x1  1 Si 1.63
O: 0.4193 0.7362 0.2440 x1  1 S 1.46
O: 0.4189 0.9404 0.8495 x1  1 S 1.51
O: 0.4196 0.4025 0.2889 x1  1 S 1.48
O: 0.4247 0.5952 0.8901 x1  1 Si 1.65
O: 0.4270 0.0727 0.6298 x1  1 Si 1.62
O: 0.4268 0.2735 0.2292 x1  1 S 1.49
O: 0.4288 0.0709 0.9076 x1  1 S 1.47
O: 0.4315 0.4097 0.5731 x1  1 Si 1.61
O: 0.4413 0.7306 0.9615 x1  1 Si 1.59
O: 0.5535 0.7454 0.4598 x1  1 Si 1.63
O: 0.5565 0.9431 0.0675 x1  1 S 1.46
O: 0.5623 0.6011 0.3956 x1  1 Si 1.68, 1 Ta 1.88
O: 0.5634 0.2689 0.7245 x1  1 Si 1.63
O: 0.5681 0.4090 0.7919 x1  1 Si 1.67
O: 0.5681 0.6107 0.6838 x1  1 S 1.44
O: 0.5704 0.0755 0.1220 x1  1 S 1.53
O: 0.5713 0.9479 0.3507 x1  1 S 1.47
O: 0.5719 0.4032 0.0725 x1  1 S 1.47
O: 0.5745 0.2723 0.0144 x1  1 S 1.48
O: 0.5758 0.7366 0.7465 x1  1 S 1.50
O: 0.5842 0.0715 0.4151 x1  1 S 1.49
O: 0.6012 0.9196 0.7467 x1  1 Si 1.64
O: 0.6033 0.4139 0.3957 x1  1 S 1.53
O: 0.6063 0.7566 0.3434 x1  1 Si 1.59
O: 0.6075 0.2617 0.1222 x1  1 S 1.46
O: 0.6079 0.5917 0.7906 x1  1 S 1.49
O: 0.6093 0.0904 0.7270 x1  1 Si 1.61
O: 0.6100 0.5926 0.0768 x1  1 S 1.49
O: 0.6099 0.9251 0.4572 x1  1 S 1.47
O: 0.6148 0.7525 0.0700 x1  1 S 1.48
O: 0.6158 0.0808 0.0146 x1  1 S 1.50
O: 0.6164 0.2570 0.4120 x1  1 S 1.49
O: 0.6188 0.4303 0.6778 x1  1 Si 1.61
O: 0.6662 0.8647 0.9666 x1  1 Si 1.59
O: 0.6674 0.5171 0.2918 x1  1 Si 1.66
O: 0.6688 0.4865 0.8957 x1  1 Si 1.68
O: 0.6698 0.4863 0.1759 x1  1 Si 1.60
O: 0.6737 0.1610 0.2212 x1  1 Si 1.64
O: 0.6738 0.8227 0.5623 x1  1 Si 1.64
O: 0.6745 0.8295 0.8498 x1  1 Si 1.66, 1 Ta 1.85
O: 0.6799 0.1797 0.9148 x1  1 S 1.47
O: 0.6831 0.8483 0.2436 x1  1 S 1.48
O: 0.6845 0.1612 0.5165 x1  1 S 1.50
O: 0.6847 0.1828 0.6240 x1  1 S 1.49
O: 0.6854 0.5257 0.5754 x1  1 S 1.46
O: 0.8006 0.3563 0.4579 x1  1 S 1.45
O: 0.8027 0.0170 0.0765 x1  1 S 1.45
O: 0.8027 0.3240 0.3507 x1  1 S 1.48
O: 0.8026 0.6589 0.0184 x1  1 S 1.47
O: 0.8074 0.3192 0.0632 x1  1 S 1.52
O: 0.8067 0.6537 0.7313 x1  1 S 1.50
O: 0.8073 0.6802 0.1253 x1  1 S 1.51
O: 0.8115 0.9847 0.3992 x1  1 S 1.50
O: 0.8176 0.6857 0.4162 x1  1 Si 1.63
O: 0.8196 0.0157 0.7930 x1  1 Si 1.69, 1 Ta 1.84
O: 0.8260 0.9848 0.6780 x1  1 Si 1.59
O: 0.8295 0.3465 0.7401 x1  1 Si 1.63
O: 0.8702 0.2443 0.8509 x1  1 S 1.47
O: 0.8697 0.2563 0.5653 x1  1 S 1.47
O: 0.8753 0.9148 0.1842 x1  1 S 1.44
O: 0.8782 0.0845 0.2925 x1  1 Si 1.69, 1 Ta 1.85
O: 0.8792 0.5928 0.2250 x1  1 Si 1.63
O: 0.8792 0.7534 0.9173 x1  1 Si 1.60
O: 0.8808 0.0958 0.5742 x1  1 S 1.48
O: 0.8809 0.4127 0.9607 x1  1 Si 1.64
O: 0.8849 0.4200 0.2469 x1  1 Si 1.63
O: 0.8876 0.5801 0.5173 x1  1 S 1.49
O: 0.8880 0.7553 0.6299 x1  1 Si 1.68, 1 Ta 1.87
O: 0.8922 0.9237 0.8963 x1  1 Si 1.70, 1 Ta 1.89
O: 0.9161 0.8999 0.2915 x1  1 S 1.52
O: 0.9193 0.5715 0.6251 x1  1 S 1.54
O: 0.9202 0.2313 0.9576 x1  1 S 1.47
O: 0.9195 0.5744 0.9198 x1  1 Si 1.60
O: 0.9207 0.1031 0.8977 x1  1 S 1.55
O: 0.9214 0.4391 0.5678 x1  1 S 1.45
O: 0.9232 0.7719 0.2303 x1  1 S 1.50
O: 0.9285 0.2404 0.2477 x1  1 Si 1.64
O: 0.9322 0.7632 0.5149 x1  1 Si 1.62
O: 0.9337 0.9126 0.5727 x1  1 Si 1.59
O: 0.9346 0.0954 0.1768 x1  1 Si 1.57
O: 0.9375 0.4385 0.8460 x1  1 Si 1.60